Entry 1:
GGA-PBE Ho2BiO2, relaxed; calculated formation energy = -2.981 eV per atom
1.0
-1.934 1.934 6.766
1.934 -1.934 6.766
1.934 1.934 -6.766
Ho Bi O
2 1 2
direct
0.169 0.169 0.000
0.831 0.831 0.000
0.500 0.500 0.000
0.250 0.750 0.500
0.750 0.250 0.500

Entry 2:
GGA-PBE HoBiO3, relaxed; size of the total moment = 0.00 Bohr magnetons per cell; calculated formation energy = -2.802 eV per atom
1.0
6.209 0.000 0.000
0.000 8.435 0.000
0.000 0.000 5.790
Ho Bi O
4 4 12
direct
0.000 0.000 0.000
0.000 0.500 0.000
0.500 0.000 0.500
0.500 0.500 0.500
0.036 0.250 0.488
0.464 0.750 0.988
0.536 0.250 0.012
0.964 0.750 0.512
0.051 0.750 0.143
0.181 0.567 0.670
0.181 0.933 0.670
0.319 0.067 0.170
0.319 0.433 0.170
0.449 0.250 0.643
0.551 0.750 0.357
0.681 0.567 0.830
0.681 0.933 0.830
0.819 0.067 0.330
0.819 0.433 0.330
0.949 0.250 0.857

Entry 3:
GGA-PBE HoBiO3, relaxed; size of the total moment = 0.00 Bohr magnetons per cell; calculated formation energy = -2.806 eV per atom
1.0
2.999 1.731 5.061
-2.999 1.731 5.061
0.000 -3.463 5.061
Ho Bi O
2 2 6
direct
0.000 0.000 0.000
0.500 0.500 0.500
0.214 0.214 0.214
0.714 0.714 0.714
0.145 0.366 0.813
0.313 0.866 0.645
0.366 0.813 0.145
0.645 0.313 0.866
0.813 0.145 0.366
0.866 0.645 0.313

Entry 4:
GGA-PBE HoBiO3, relaxed; size of the total moment = 0.00 Bohr magnetons per cell; calculated formation energy = -2.788 eV per atom
1.0
2.995 1.729 5.058
-2.995 1.729 5.058
0.000 -3.458 5.058
Ho Bi O
2 2 6
direct
0.142 0.142 0.142
0.858 0.858 0.858
0.357 0.357 0.357
0.643 0.643 0.643
0.012 0.456 0.781
0.219 0.988 0.544
0.456 0.781 0.012
0.544 0.219 0.988
0.781 0.012 0.456
0.988 0.544 0.219

Entry 5:
GGA-PBE HoBi12O20, relaxed; size of the total moment = 0.00 Bohr magnetons per cell; calculated formation energy = -1.752 eV per atom
1.0
-5.175 5.175 5.175
5.175 -5.175 5.175
5.175 5.175 -5.175
Ho Bi O
1 12 20
direct
0.000 0.000 0.000
0.141 0.831 0.325
0.169 0.310 0.494
0.184 0.690 0.859
0.310 0.494 0.169
0.325 0.141 0.831
0.494 0.169 0.310
0.506 0.816 0.675
0.675 0.506 0.816
0.690 0.859 0.184
0.816 0.675 0.506
0.831 0.325 0.141
0.859 0.184 0.690
0.000 0.000 0.355
0.000 0.000 0.758
0.000 0.355 0.000
0.000 0.758 0.000
0.114 0.360 0.736
0.242 0.242 0.242
0.245 0.886 0.622
0.264 0.624 0.378
0.355 0.000 0.000
0.360 0.736 0.114
0.376 0.640 0.755
0.378 0.264 0.624
0.622 0.245 0.886
0.624 0.378 0.264
0.640 0.755 0.376
0.645 0.645 0.645
0.736 0.114 0.360
0.755 0.376 0.640
0.758 0.000 0.000
0.886 0.622 0.245

Entry 6:
GGA-PBE Sr2HoBiO6, relaxed; size of the total moment = 0.00 Bohr magnetons per cell; calculated formation energy = -2.865 eV per atom
1.0
5.927 0.000 0.000
0.000 6.102 0.000
-5.924 0.000 8.473
Sr Ho Bi O
4 2 2 12
direct
0.235 0.048 0.248
0.235 0.452 0.748
0.765 0.548 0.252
0.765 0.952 0.752
0.000 0.000 0.500
0.000 0.500 0.000
0.500 0.000 0.000
0.500 0.500 0.500
0.162 0.200 0.953
0.162 0.300 0.453
0.248 0.713 0.946
0.248 0.787 0.446
0.351 0.038 0.756
0.351 0.462 0.256
0.649 0.538 0.744
0.649 0.962 0.244
0.752 0.213 0.554
0.752 0.287 0.054
0.838 0.700 0.547
0.838 0.800 0.047

Entry 7:
GGA-PBE Ho5Bi2Pd, relaxed; size of the total moment = 0.01 Bohr magnetons per cell; calculated formation energy = -0.680 eV per atom
1.0
12.298 0.000 0.000
0.000 9.050 0.000
0.000 0.000 8.026
Ho Bi Pd
20 8 4
direct
0.000 0.250 0.041
0.000 0.750 0.959
0.067 0.051 0.679
0.067 0.449 0.679
0.197 0.750 0.369
0.213 0.250 0.334
0.287 0.750 0.834
0.303 0.250 0.869
0.433 0.551 0.179
0.433 0.949 0.179
0.500 0.250 0.459
0.500 0.750 0.541
0.567 0.051 0.821
0.567 0.449 0.821
0.697 0.750 0.131
0.713 0.250 0.166
0.787 0.750 0.666
0.803 0.250 0.631
0.933 0.551 0.321
0.933 0.949 0.321
0.173 0.508 0.068
0.173 0.992 0.068
0.327 0.008 0.568
0.327 0.492 0.568
0.673 0.508 0.432
0.673 0.992 0.432
0.827 0.008 0.932
0.827 0.492 0.932
0.014 0.750 0.588
0.486 0.250 0.088
0.514 0.750 0.912
0.986 0.250 0.412

Entry 8:
GGA-PBE Ho5BiPd2, relaxed; calculated formation energy = -0.699 eV per atom
1.0
-3.897 3.897 6.896
3.897 -3.897 6.896
3.897 3.897 -6.896
Ho Bi Pd
10 2 4
direct
0.000 0.000 0.000
0.017 0.517 0.812
0.204 0.017 0.500
0.296 0.796 0.812
0.483 0.296 0.500
0.500 0.500 0.000
0.517 0.704 0.500
0.704 0.204 0.188
0.796 0.983 0.500
0.983 0.483 0.188
0.250 0.250 0.000
0.750 0.750 0.000
0.136 0.364 0.500
0.364 0.864 0.228
0.636 0.136 0.772
0.864 0.636 0.500

Q: Which of these has the highest calculated formation energy?
A: Ho5Bi2Pd